(1)
This record from Materials Project describes a relaxed TeI7 crystal. The functional is GGA-PBE.

abc: 12.738 12.738 5.947
angles: 90.00 90.00 90.00
Space group P4/nmm (No. 129, origin choice 2)
Symmetry-distinct sites (fractional):
Te 0.250 0.250 0.088 x2
I 0.016 0.250 0.096 x8
I 0.250 0.250 0.592 x2
I 0.250 0.750 0.245 x4

Results
The calculation puts the formation energy from the elements at -268 meV per atom. The total energy is -1.6624 eV/atom.

=====

(2)
This record from Materials Project describes a relaxed MgSi2 crystal. The functional is GGA-PBE.

abc: 6.918 3.483 9.015
angles: 90.00 110.90 90.00
Space group P2/m (No. 10)
Symmetry-distinct sites (fractional):
Mg 0.055 0.000 0.271 x2
Mg 0.329 0.500 0.849 x2
Si 0.000 0.500 0.000 x1
Si 0.000 0.500 0.500 x1
Si 0.284 0.000 0.597 x2
Si 0.295 0.000 0.096 x2
Si 0.432 0.500 0.344 x2

Results
Its energy above the most stable polymorph in this dataset is 164 meV per atom. The calculation puts the formation energy from the elements at 242 meV per atom. The total energy is -3.9558 eV/atom.